{"formula": "CsCuCl3", "functional": "PBE", "state": "relaxed", "cell": [[6.480, 0.000, 0.000], [-0.117, 7.272, 0.000], [-0.134, -3.464, 6.395]], "species": ["Cs", "Cs", "Cu", "Cu", "Cl", "Cl", "Cl", "Cl", "Cl", "Cl"], "frac_coords": [[0.000, 0.000, 0.000], [0.500, 0.320, 0.680], [0.249, 0.660, 0.340], [0.749, 0.660, 0.340], [0.069, 0.512, 0.024], [0.429, 0.808, 0.655], [0.498, 0.796, 0.203], [0.569, 0.345, 0.192], [0.929, 0.975, 0.488], [0.999, 0.523, 0.476]], "total_energy_ev_per_cell": -32.3}

{"formula": "NdScGe", "functional": "PBE", "state": "relaxed", "cell": [[4.326, 0.000, 0.000], [0.000, 4.326, 0.000], [0.000, 0.000, 16.023]], "species": ["Nd", "Nd", "Nd", "Nd", "Sc", "Sc", "Sc", "Sc", "Ge", "Ge", "Ge", "Ge"], "frac_coords": [[0.000, 0.000, 0.177], [0.000, 0.000, 0.823], [0.500, 0.500, 0.323], [0.500, 0.500, 0.677], [0.000, 0.500, 0.000], [0.000, 0.500, 0.500], [0.500, 0.000, 0.000], [0.500, 0.000, 0.500], [0.000, 0.000, 0.377], [0.000, 0.000, 0.623], [0.500, 0.500, 0.123], [0.500, 0.500, 0.877]], "total_energy_ev_per_cell": -71.5}